## BaSm2PtO5 (PBE)

Data for a geometry-optimized BaSm2PtO5 structure.

Cell lengths 6.7443, 6.7443, 5.9786 Å; angles 90.00, 90.00, 90.00 degrees
Last column: nearest neighbours and their distance in Å.
Sites, in units of the cell vectors:
1 Ba 0.0000 0.0000 0.0000  10 O 2.99-3.03
2 Ba 0.5000 0.5000 0.0000  10 O 2.99-3.03
3 Sm 0.8255 0.6745 0.5000  4 O 2.29-2.49
4 Sm 0.6745 0.1745 0.5000  4 O 2.29-2.49
5 Sm 0.3255 0.8255 0.5000  4 O 2.29-2.49
6 Sm 0.1745 0.3255 0.5000  4 O 2.29-2.49
7 Pt 0.5000 0.0000 0.0000  4 O 2.03
8 Pt 0.0000 0.5000 0.0000  4 O 2.03
9 O 0.5000 0.5000 0.5000  4 Sm 2.49
10 O 0.0000 0.0000 0.5000  4 Sm 2.49
11 O 0.1392 0.6392 0.2572  1 Pt 2.03
12 O 0.8608 0.3608 0.2572  1 Pt 2.03
13 O 0.3608 0.1392 0.2572  1 Pt 2.03
14 O 0.6392 0.8608 0.2572  1 Pt 2.03
15 O 0.1392 0.6392 0.7428  1 Pt 2.03
16 O 0.6392 0.8608 0.7428  1 Pt 2.03
17 O 0.8608 0.3608 0.7428  1 Pt 2.03
18 O 0.3608 0.1392 0.7428  1 Pt 2.03

Output
- Calculated volume: 271.9 Å³/cell
- Total energy after the MP2020 corrections: -7.69 eV per atom


## Ba4Ti3PtO12 (PBE)

Data for a geometry-optimized Ba4Ti3PtO12 structure.

Cell lengths 5.7864, 5.7864, 28.4584 Å; angles 90.00, 90.00, 120.00 degrees
Last column: nearest neighbours and their distance in Å.
Sites, in units of the cell vectors:
1 Ba 0.0000 0.0000 0.2062  12 O 2.90-2.99
2 Ba 0.0000 0.0000 0.7026  12 O 2.90-2.98
3 Ba 0.6667 0.3333 0.2952  12 O 2.90-2.97
4 Ba 0.6667 0.3333 0.7960  12 O 2.90-2.99
5 Ba 0.6667 0.3333 0.4533  12 O 2.85-2.98
6 Ba 0.6667 0.3333 0.9530  12 O 2.85-2.97
7 Ba 0.0000 0.0000 0.0478  12 O 2.79-3.01
8 Ba 0.0000 0.0000 0.5484  12 O 2.85-3.02
9 Ba 0.3333 0.6667 0.3736  12 O 2.90-2.97
10 Ba 0.3333 0.6667 0.8737  12 O 2.90-2.97
11 Ba 0.3333 0.6667 0.1284  12 O 2.84-3.03
12 Ba 0.3333 0.6667 0.6253  12 O 2.90-2.94
13 Ti 0.6667 0.3333 0.6740  6 O 1.95-2.05
14 Ti 0.6667 0.3333 0.0770  6 O 2.00-2.01
15 Ti 0.6667 0.3333 0.5786  6 O 1.97-2.02
16 Ti 0.0000 0.0000 0.4257  6 O 1.93-2.07
17 Ti 0.0000 0.0000 0.9255  6 O 1.94-2.07
18 Ti 0.3333 0.6667 0.2514  6 O 1.95-2.02
19 Ti 0.3333 0.6667 0.7508  6 O 1.95-2.05
20 Ti 0.3333 0.6667 0.0015  6 O 1.97-2.05
21 Ti 0.3333 0.6667 0.5014  6 O 1.98-2.04
22 Pt 0.0000 0.0000 0.3299  6 O 2.01-2.07
23 Pt 0.0000 0.0000 0.8292  6 O 2.02-2.06
24 Pt 0.6667 0.3333 0.1699  6 O 2.04-2.05
25 O 0.1710 0.3419 0.2891  1 Ti 1.95, 1 Pt 2.07
26 O 0.1706 0.3411 0.7885  1 Ti 1.95, 1 Pt 2.06
27 O 0.1710 0.8290 0.2891  1 Ti 1.95, 1 Pt 2.07
28 O 0.1706 0.8294 0.7885  1 Ti 1.95, 1 Pt 2.06
29 O 0.6581 0.8290 0.2891  1 Ti 1.95, 1 Pt 2.07
30 O 0.6589 0.8294 0.7885  1 Ti 1.95, 1 Pt 2.06
31 O 0.4969 0.9938 0.2099  1 Ti 2.02, 1 Pt 2.05
32 O 0.4996 0.9992 0.7088  2 Ti 1.95-2.05
33 O 0.4969 0.5031 0.2099  1 Ti 2.02, 1 Pt 2.05
34 O 0.4996 0.5004 0.7088  2 Ti 1.95-2.05
35 O 0.0062 0.5031 0.2099  1 Ti 2.02, 1 Pt 2.05
36 O 0.0008 0.5004 0.7088  2 Ti 1.95-2.05
37 O 0.4987 0.9974 0.0391  2 Ti 1.97-2.00
38 O 0.4982 0.9963 0.5396  2 Ti 1.98-2.02
39 O 0.4987 0.5013 0.0391  2 Ti 1.97-2.00
40 O 0.4982 0.5018 0.5396  2 Ti 1.98-2.02
41 O 0.0026 0.5013 0.0391  2 Ti 1.97-2.00
42 O 0.0037 0.5018 0.5396  2 Ti 1.98-2.02
43 O 0.1669 0.3338 0.4599  2 Ti 1.93-2.04
44 O 0.1668 0.3335 0.9599  2 Ti 1.94-2.05
45 O 0.1669 0.8331 0.4599  2 Ti 1.93-2.04
46 O 0.1668 0.8332 0.9599  2 Ti 1.94-2.05
47 O 0.6662 0.8331 0.4599  2 Ti 1.93-2.04
48 O 0.6665 0.8332 0.9599  2 Ti 1.94-2.05
49 O 0.3040 0.1520 0.3763  1 Pt 2.01, 1 Ti 2.07
50 O 0.3035 0.1518 0.8761  1 Pt 2.02, 1 Ti 2.07
51 O 0.8480 0.6960 0.3763  1 Pt 2.01, 1 Ti 2.07
52 O 0.8482 0.6965 0.8761  1 Pt 2.02, 1 Ti 2.07
53 O 0.8480 0.1520 0.3763  1 Pt 2.01, 1 Ti 2.07
54 O 0.8482 0.1518 0.8761  1 Pt 2.02, 1 Ti 2.07
55 O 0.3610 0.1805 0.1225  1 Ti 2.01, 1 Pt 2.04
56 O 0.3697 0.1848 0.6242  2 Ti 1.97-2.05
57 O 0.8195 0.6390 0.1225  1 Ti 2.01, 1 Pt 2.04
58 O 0.8152 0.6303 0.6242  2 Ti 1.97-2.05
59 O 0.8195 0.1805 0.1225  1 Ti 2.01, 1 Pt 2.04
60 O 0.8152 0.1848 0.6242  2 Ti 1.97-2.05

Output
- Calculated volume: 825.2 Å³/cell
- Total energy after the MP2020 corrections: -7.94 eV per atom


## Ba17Tm16Zn8Pt4O57 (PBE)

Data for a geometry-optimized Ba17Tm16Zn8Pt4O57 structure.

Cell lengths 16.4926, 16.4926, 16.4926 Å; angles 91.73, 91.73, 160.01 degrees
Last column: nearest neighbours and their distance in Å.
Sites, in units of the cell vectors:
1 Ba 0.8110 0.7321 0.5431  6 O 2.61-2.88
2 Ba 0.6495 0.3431 0.9926  6 O 2.74-2.90
3 Ba 0.7321 0.1890 0.9211  6 O 2.61-2.88
4 Ba 0.3505 0.6569 0.0074  6 O 2.74-2.90
5 Ba 0.4423 0.0679 0.5102  6 O 2.74-2.86
6 Ba 0.1117 0.7241 0.8357  8 O 2.85-2.97
7 Ba 0.3431 0.3505 0.6937  6 O 2.74-2.90
8 Ba 0.9321 0.4423 0.3744  6 O 2.74-2.86
9 Ba 0.7241 0.8883 0.6124  8 O 2.85-2.97
10 Ba 0.1890 0.2679 0.4569  6 O 2.61-2.88
11 Ba 0.6569 0.6495 0.3063  6 O 2.74-2.90
12 Ba 0.0679 0.5577 0.6256  6 O 2.74-2.86
13 Ba 0.8883 0.2759 0.1643  8 O 2.85-2.97
14 Ba 0.5577 0.9321 0.4898  6 O 2.74-2.86
15 Ba 0.2679 0.8110 0.0789  6 O 2.61-2.88
16 Ba 0.2759 0.1117 0.3876  8 O 2.85-2.97
17 Ba 0.0000 0.0000 0.0000  10 O 2.86-2.92
18 Tm 0.3252 0.9505 0.2757  6 O 2.20-2.34
19 Tm 0.0495 0.3252 0.3746  6 O 2.20-2.34
20 Tm 0.6748 0.0495 0.7243  6 O 2.20-2.34
21 Tm 0.4937 0.7486 0.2423  7 O 2.26-2.38
22 Tm 0.8283 0.0519 0.8801  7 O 2.27-2.46
23 Tm 0.7486 0.5063 0.2549  7 O 2.26-2.38
24 Tm 0.5063 0.2514 0.7577  7 O 2.26-2.38
25 Tm 0.1717 0.9481 0.1199  7 O 2.27-2.46
26 Tm 0.0519 0.1717 0.2236  7 O 2.27-2.46
27 Tm 0.5114 0.4008 0.9122  7 O 2.26-2.43
28 Tm 0.9481 0.8283 0.7764  7 O 2.27-2.46
29 Tm 0.9505 0.6748 0.6254  6 O 2.20-2.34
30 Tm 0.4008 0.4886 0.8895  7 O 2.26-2.43
31 Tm 0.5992 0.5114 0.1105  7 O 2.26-2.43
32 Tm 0.2514 0.4937 0.7451  7 O 2.26-2.38
33 Tm 0.4886 0.5992 0.0878  7 O 2.26-2.43
34 Zn 0.2122 0.6200 0.8322  5 O 1.96-2.14
35 Zn 0.0753 0.8674 0.9427  5 O 1.98-2.15
36 Zn 0.7878 0.3800 0.1678  5 O 1.96-2.14
37 Zn 0.9247 0.1326 0.0573  5 O 1.98-2.15
38 Zn 0.8674 0.9247 0.7921  5 O 1.98-2.15
39 Zn 0.3800 0.2122 0.5922  5 O 1.96-2.14
40 Zn 0.1326 0.0753 0.2079  5 O 1.98-2.15
41 Zn 0.6200 0.7878 0.4078  5 O 1.96-2.14
42 Pt 0.8557 0.5825 0.4381  6 O 2.05-2.11
43 Pt 0.4175 0.8557 0.2732  6 O 2.05-2.11
44 Pt 0.5825 0.1443 0.7268  6 O 2.05-2.11
45 Pt 0.1443 0.4175 0.5619  6 O 2.05-2.11
46 O 0.4940 0.1764 0.1763  1 Zn 2.07, 2 Tm 2.27-2.28
47 O 0.6824 0.5060 0.6825  1 Zn 2.07, 2 Tm 2.27-2.28
48 O 0.7202 0.0729 0.3101  1 Pt 2.05, 1 Tm 2.20
49 O 0.2778 0.0758 0.8520  1 Zn 2.06, 2 Tm 2.26-2.28
50 O 0.0001 0.3176 0.8237  1 Zn 2.07, 2 Tm 2.27-2.28
51 O 0.2238 0.4259 0.1480  1 Zn 2.06, 2 Tm 2.26-2.28
52 O 0.2390 0.7009 0.9399  1 Zn 1.96
53 O 0.5977 0.1199 0.2331  1 Pt 2.05, 1 Zn 2.14, 1 Tm 2.28
54 O 0.8126 0.8378 0.1542  1 Zn 2.15, 2 Tm 2.26-2.39
55 O 0.3646 0.5977 0.4778  1 Pt 2.05, 1 Zn 2.14, 1 Tm 2.28
56 O 0.2319 0.3931 0.6250  1 Pt 2.09
57 O 0.1132 0.6354 0.2331  1 Pt 2.05, 1 Zn 2.14, 1 Tm 2.28
58 O 0.8236 0.9999 0.3175  1 Zn 2.07, 2 Tm 2.27-2.28
59 O 0.3176 0.4940 0.3175  1 Zn 2.07, 2 Tm 2.27-2.28
60 O 0.4259 0.2778 0.2021  1 Zn 2.06, 2 Tm 2.26-2.28
61 O 0.8801 0.1132 0.4778  1 Pt 2.05, 1 Zn 2.14, 1 Tm 2.28
62 O 0.9999 0.6824 0.1763  1 Zn 2.07, 2 Tm 2.27-2.28
63 O 0.1579 0.1578 0.3157  1 Zn 1.98
64 O 0.2991 0.2390 0.5381  1 Zn 1.96
65 O 0.3931 0.7681 0.1612  1 Pt 2.09
66 O 0.9271 0.2373 0.6474  1 Pt 2.05, 1 Tm 2.20
67 O 0.7009 0.7610 0.4619  1 Zn 1.96
68 O 0.5000 0.5000 0.0000  4 Tm 2.29
69 O 0.0758 0.2238 0.7979  1 Zn 2.06, 2 Tm 2.26-2.28
70 O 0.3165 0.3416 0.1542  1 Zn 2.15, 2 Tm 2.26-2.39
71 O 0.7627 0.4101 0.6899  1 Pt 2.05, 1 Tm 2.20
72 O 0.1199 0.8868 0.5222  1 Pt 2.05, 1 Zn 2.14, 1 Tm 2.28
73 O 0.0729 0.7627 0.3526  1 Pt 2.05, 1 Tm 2.20
74 O 0.5741 0.7222 0.7979  1 Zn 2.06, 2 Tm 2.26-2.28
75 O 0.7762 0.5741 0.8520  1 Zn 2.06, 2 Tm 2.26-2.28
76 O 0.8421 0.8422 0.6843  1 Zn 1.98
77 O 0.1622 0.3165 0.9748  1 Zn 2.15, 2 Tm 2.26-2.39
78 O 0.5060 0.8236 0.8237  1 Zn 2.07, 2 Tm 2.27-2.28
79 O 0.2373 0.5899 0.3101  1 Pt 2.05, 1 Tm 2.20
80 O 0.6069 0.2319 0.8388  1 Pt 2.09
81 O 0.6354 0.4023 0.5222  1 Pt 2.05, 1 Zn 2.14, 1 Tm 2.28
82 O 0.5899 0.2798 0.3526  1 Pt 2.05, 1 Tm 2.20
83 O 0.7681 0.6069 0.3750  1 Pt 2.09
84 O 0.2798 0.9271 0.6899  1 Pt 2.05, 1 Tm 2.20
85 O 0.0544 0.4350 0.4893  1 Pt 2.11
86 O 0.9456 0.5650 0.5107  1 Pt 2.11
87 O 0.4023 0.8801 0.7669  1 Pt 2.05, 1 Zn 2.14, 1 Tm 2.28
88 O 0.5650 0.0544 0.6194  1 Pt 2.11
89 O 0.6584 0.8126 0.9748  1 Zn 2.15, 2 Tm 2.26-2.39
90 O 0.6835 0.6584 0.8458  1 Zn 2.15, 2 Tm 2.26-2.39
91 O 0.7610 0.2991 0.0601  1 Zn 1.96
92 O 0.8422 0.1579 0.0002  1 Zn 1.98
93 O 0.4350 0.9456 0.3806  1 Pt 2.11
94 O 0.1874 0.1622 0.8458  1 Zn 2.15, 2 Tm 2.26-2.39
95 O 0.7222 0.9242 0.1480  1 Zn 2.06, 2 Tm 2.26-2.28
96 O 0.1578 0.8421 0.9998  1 Zn 1.98
97 O 0.8868 0.3646 0.7669  1 Pt 2.05, 1 Zn 2.14, 1 Tm 2.28
98 O 0.9242 0.7762 0.2021  1 Zn 2.06, 2 Tm 2.26-2.28
99 O 0.4101 0.7202 0.6474  1 Pt 2.05, 1 Tm 2.20
100 O 0.3416 0.1874 0.0252  1 Zn 2.15, 2 Tm 2.26-2.39
101 O 0.1764 0.0001 0.6825  1 Zn 2.07, 2 Tm 2.27-2.28
102 O 0.8378 0.6835 0.0252  1 Zn 2.15, 2 Tm 2.26-2.39

Output
- Calculated volume: 1510.0 Å³/cell
- Total energy after the MP2020 corrections: -7.14 eV per atom


## BaPuO3 (PBE)

Data for a geometry-optimized BaPuO3 structure.

Cell lengths 4.4126, 4.4126, 4.4126 Å; angles 90.00, 90.00, 90.00 degrees
Last column: nearest neighbours and their distance in Å.
Sites, in units of the cell vectors:
1 Ba 0.0000 0.0000 0.0000  12 O 3.12
2 Pu 0.5000 0.5000 0.5000  6 O 2.21
3 O 0.0000 0.5000 0.5000  2 Pu 2.21
4 O 0.5000 0.0000 0.5000  2 Pu 2.21
5 O 0.5000 0.5000 0.0000  2 Pu 2.21

Output
- Calculated volume: 85.9 Å³/cell
- Total energy after the MP2020 corrections: -9.62 eV per atom


## BaPuO3 (PBE)

Data for a geometry-optimized BaPuO3 structure.

Cell lengths 6.2022, 6.2390, 8.7619 Å; angles 90.00, 90.00, 90.00 degrees
Last column: nearest neighbours and their distance in Å.
Sites, in units of the cell vectors:
1 Ba 0.9851 0.0046 0.2500  6 O 2.73-2.98
2 Ba 0.4851 0.4954 0.2500  6 O 2.73-2.98
3 Ba 0.5149 0.5046 0.7500  6 O 2.73-2.98
4 Ba 0.0149 0.9954 0.7500  6 O 2.73-2.98
5 Pu 0.5000 0.0000 0.0000  6 O 2.23
6 Pu 0.0000 0.5000 0.5000  6 O 2.23
7 Pu 0.0000 0.5000 0.0000  6 O 2.23
8 Pu 0.5000 0.0000 0.5000  6 O 2.23
9 O 0.5107 0.9316 0.2500  2 Pu 2.23
10 O 0.0107 0.5684 0.2500  2 Pu 2.23
11 O 0.9893 0.4316 0.7500  2 Pu 2.23
12 O 0.4893 0.0684 0.7500  2 Pu 2.23
13 O 0.7284 0.2713 0.0364  2 Pu 2.23
14 O 0.2284 0.2287 0.4636  2 Pu 2.23
15 O 0.7716 0.7713 0.9636  2 Pu 2.23
16 O 0.2716 0.7287 0.5364  2 Pu 2.23
17 O 0.2716 0.7287 0.9636  2 Pu 2.23
18 O 0.7716 0.7713 0.5364  2 Pu 2.23
19 O 0.2284 0.2287 0.0364  2 Pu 2.23
20 O 0.7284 0.2713 0.4636  2 Pu 2.23

Output
- Calculated volume: 339.0 Å³/cell
- Total energy after the MP2020 corrections: -9.64 eV per atom


## Ba2PuTaO6 (PBE)

Data for a geometry-optimized Ba2PuTaO6 structure.

Cell lengths 6.1019, 6.1019, 6.1019 Å; angles 60.00, 60.00, 60.00 degrees
Last column: nearest neighbours and their distance in Å.
Sites, in units of the cell vectors:
1 Ba 0.2500 0.2500 0.2500  12 O 3.05
2 Ba 0.7500 0.7500 0.7500  12 O 3.05
3 Pu 0.5000 0.5000 0.5000  6 O 2.29
4 Ta 0.0000 0.0000 0.0000  6 O 2.02
5 O 0.7657 0.2343 0.2343  1 Ta 2.02
6 O 0.2343 0.7657 0.7657  1 Ta 2.02
7 O 0.2343 0.7657 0.2343  1 Ta 2.02
8 O 0.7657 0.2343 0.7657  1 Ta 2.02
9 O 0.2343 0.2343 0.7657  1 Ta 2.02
10 O 0.7657 0.7657 0.2343  1 Ta 2.02

Output
- Calculated volume: 160.7 Å³/cell
- Total energy after the MP2020 corrections: -9.35 eV per atom